First-principles (PBE with a Hubbard U) data for a relaxed Fe5O8F2 crystal, as listed in the Materials Project.

Cell lengths 4.639, 7.609, 9.746 Å; angles 70.64, 88.49, 89.28 degrees
Atoms (fractional coordinates):
Fe 0.000 0.000 0.000
Fe 0.001 0.803 0.579
Fe 0.005 0.420 0.794
Fe 0.048 0.212 0.399
Fe 0.497 0.307 0.080
Fe 0.507 0.904 0.289
Fe 0.514 0.707 0.896
Fe 0.529 0.502 0.500
Fe 0.556 0.112 0.690
Fe 0.988 0.596 0.184
O 0.198 0.764 0.017
O 0.207 0.573 0.611
O 0.209 0.364 0.215
O 0.210 0.967 0.410
O 0.309 0.472 0.906
O 0.321 0.066 0.114
O 0.346 0.268 0.522
O 0.694 0.745 0.462
O 0.698 0.534 0.066
O 0.709 0.948 0.869
O 0.728 0.348 0.677
O 0.804 0.834 0.174
O 0.813 0.662 0.760
O 0.823 0.244 0.970
O 0.826 0.442 0.371
O 0.836 0.043 0.565
F 0.217 0.164 0.813
F 0.307 0.659 0.313
F 0.317 0.876 0.710
F 0.714 0.146 0.270

Properties
Space group: P1
Total magnetization, μB per cell: 44.07
ΔE_f, kJ/mol of atoms: -152
Electronic total energy, eV/atom: -6.112

---

First-principles (PBE with a Hubbard U) data for a relaxed Fe4O7F crystal, as listed in the Materials Project.

Cell lengths 5.521, 5.521, 5.521 Å; angles 113.78, 108.70, 106.03 degrees
Atoms (fractional coordinates):
Fe 0.000 0.000 0.000
Fe 0.502 0.260 0.758
Fe 0.502 0.745 0.242
Fe 0.974 0.474 0.500
O 0.187 0.241 0.440
O 0.187 0.747 0.946
O 0.309 0.309 0.000
O 0.676 0.176 0.500
O 0.696 0.696 0.000
O 0.801 0.241 0.054
O 0.801 0.747 0.560
F 0.291 0.791 0.500

Properties
Space group: Imm2
Total magnetization, μB per cell: 17.16
ΔE_f, kJ/mol of atoms: -141
Electronic total energy, eV/atom: -6.138